# 1
Entry from the Materials Project database: an optimized crystal structure of AlGaCu2Se4 (PBE).

Cell lengths 6.8682, 6.8682, 6.8682 Å; angles 131.39, 131.39, 71.20 degrees
Element x y z (fractional)
Se (0.8761, 0.3764, 0.0051)
Ga (0.7500, 0.2500, 0.5000)
Cu (0.2500, 0.7500, 0.5000)
Cu (0.0000, 0.0000, 0.0000)
Se (0.1290, 0.1239, 0.5003)
Se (0.3713, 0.8710, 0.9949)
Al (0.5000, 0.5000, 0.0000)
Se (0.6236, 0.6287, 0.4997)

Values from the calculation:
space group: I-4
energy of formation from the pure elements: -6.293 eV/f.u.


# 2
Entry from the Materials Project database: an optimized crystal structure of Cs2UP2O10 (PBE).

Cell lengths 9.3419, 6.3928, 10.0448 Å; angles 82.24, 90.00, 90.00 degrees
Element x y z (fractional)
Cs (0.3081, 0.5002, 0.8532)
U (0.0000, 0.0000, 0.0000)
P (0.1502, 0.0247, 0.6598)
O (0.3851, 0.8112, 0.1152)
O (0.3564, 0.0003, 0.3171)
O (0.0395, 0.7221, 0.0563)
Cs (0.6919, 0.4998, 0.1468)
P (0.6502, 0.9753, 0.8402)
O (0.8076, 0.9091, 0.8826)
Cs (0.8081, 0.4998, 0.6468)
O (0.0519, 0.2057, 0.6020)
O (0.6924, 0.9091, 0.3826)
O (0.1149, 0.8112, 0.6152)
O (0.8564, 0.9997, 0.1829)
P (0.3498, 0.0247, 0.1598)
O (0.5395, 0.2779, 0.4437)
O (0.3076, 0.0909, 0.6174)
U (0.5000, 0.0000, 0.5000)
O (0.4481, 0.2057, 0.1020)
O (0.1436, 0.0003, 0.8171)
O (0.8851, 0.1888, 0.3848)
O (0.9481, 0.7943, 0.3980)
O (0.5519, 0.7943, 0.8980)
O (0.6149, 0.1888, 0.8848)
O (0.1924, 0.0909, 0.1174)
O (0.9605, 0.2779, 0.9437)
O (0.6436, 0.9997, 0.6829)
O (0.4605, 0.7221, 0.5563)
P (0.8498, 0.9753, 0.3402)
Cs (0.1919, 0.5002, 0.3532)

Values from the calculation:
space group: P2_1/c
energy of formation from the pure elements: -40.577 eV/f.u.